VASP calculation (GGA-PBE) on a relaxed Tb4Te3N2 crystal.

abc: 7.3549 11.7348 11.0808
angles: 90.00 90.00 90.00
Fractional coordinates of all 36 atoms:
Tb 0.0248 0.0916 0.1772
Tb 0.0248 0.4084 0.3228
Tb 0.1628 0.6531 0.1180
Tb 0.1628 0.8469 0.3820
Tb 0.3372 0.1531 0.3820
Tb 0.3372 0.3469 0.1180
Tb 0.4752 0.5916 0.3228
Tb 0.4752 0.9084 0.1772
Tb 0.5248 0.0916 0.8228
Tb 0.5248 0.4084 0.6772
Tb 0.6628 0.6531 0.8820
Tb 0.6628 0.8469 0.6180
Tb 0.8372 0.1531 0.6180
Tb 0.8372 0.3469 0.8820
Tb 0.9752 0.5916 0.6772
Tb 0.9752 0.9084 0.8228
Te 0.1307 0.1612 0.9176
Te 0.1307 0.3388 0.5824
Te 0.2500 0.0000 0.6090
Te 0.2500 0.5000 0.8910
Te 0.3693 0.6612 0.5824
Te 0.3693 0.8388 0.9176
Te 0.6307 0.1612 0.0824
Te 0.6307 0.3388 0.4176
Te 0.7500 0.0000 0.3910
Te 0.7500 0.5000 0.1090
Te 0.8693 0.6612 0.4176
Te 0.8693 0.8388 0.0824
N 0.1576 0.2500 0.2500
N 0.2500 0.0000 0.2746
N 0.2500 0.5000 0.2254
N 0.3424 0.7500 0.2500
N 0.6576 0.2500 0.7500
N 0.7500 0.0000 0.7254
N 0.7500 0.5000 0.7746
N 0.8424 0.7500 0.7500

Computed properties:
- Energy of formation: -14.7 eV/f.u.



VASP calculation (GGA-PBE) on a relaxed Tc3N crystal.

abc: 2.8206 2.8206 7.0992
angles: 90.00 90.00 120.00
Fractional coordinates of all 4 atoms:
Tc 0.0000 0.0000 0.0000
Tc 0.6667 0.3333 0.3037
Tc 0.6667 0.3333 0.6963
N 0.0000 0.0000 0.5000

Computed properties:
- Energy of formation: -0.8 eV/f.u.



VASP calculation (GGA-PBE) on a relaxed TcN2 crystal.

abc: 4.8891 4.8891 4.8891
angles: 90.00 90.00 90.00
Fractional coordinates of all 12 atoms:
Tc 0.0000 0.0000 0.0000
Tc 0.0000 0.5000 0.5000
Tc 0.5000 0.0000 0.5000
Tc 0.5000 0.5000 0.0000
N 0.2500 0.2500 0.2500
N 0.2500 0.2500 0.7500
N 0.2500 0.7500 0.2500
N 0.2500 0.7500 0.7500
N 0.7500 0.2500 0.2500
N 0.7500 0.2500 0.7500
N 0.7500 0.7500 0.2500
N 0.7500 0.7500 0.7500

Computed properties:
- Energy of formation: 1.8 eV/f.u.
- Total magnetization: 1.6 Bohr magnetons per cell



VASP calculation (GGA-PBE) on a relaxed YTcN3 crystal.

abc: 4.0664 3.9956 7.3845
angles: 90.00 90.00 90.00
Fractional coordinates of all 10 atoms:
Y 0.0000 0.0000 0.0000
Y 0.0000 0.5000 0.5000
Tc 0.5000 0.0000 0.6945
Tc 0.5000 0.5000 0.1945
N 0.0000 0.0000 0.6793
N 0.0000 0.5000 0.1793
N 0.5000 0.1670 0.4133
N 0.5000 0.3330 0.9133
N 0.5000 0.6670 0.9133
N 0.5000 0.8330 0.4133

Computed properties:
- Energy of formation: -3.8 eV/f.u.
- Total magnetization: 0.0 Bohr magnetons per cell



VASP calculation (GGA-PBE) on a relaxed YTcN3 crystal.

abc: 7.3884 7.3884 6.2700
angles: 107.20 107.20 82.27
Fractional coordinates of all 20 atoms:
Y 0.0915 0.9085 0.7500
Y 0.2919 0.7081 0.2500
Y 0.7081 0.2919 0.7500
Y 0.9085 0.0915 0.2500
Tc 0.2039 0.3773 0.7811
Tc 0.3773 0.2039 0.2811
Tc 0.6227 0.7961 0.7189
Tc 0.7961 0.6227 0.2189
N 0.0048 0.2192 0.6619
N 0.1312 0.6245 0.8396
N 0.2192 0.0048 0.1619
N 0.3333 0.3641 0.0833
N 0.3641 0.3333 0.5833
N 0.3755 0.8688 0.6604
N 0.6245 0.1312 0.3396
N 0.6359 0.6667 0.4167
N 0.6667 0.6359 0.9167
N 0.7808 0.9952 0.8381
N 0.8688 0.3755 0.1604
N 0.9952 0.7808 0.3381

Computed properties:
- Energy of formation: -4.0 eV/f.u.
- Total magnetization: 0.0 Bohr magnetons per cell



VASP calculation (GGA-PBE) on a relaxed U2TeN2 crystal.

abc: 3.8803 3.8803 12.6526
angles: 90.00 90.00 90.00
Fractional coordinates of all 10 atoms:
U 0.0000 0.0000 0.1594
U 0.0000 0.0000 0.8406
U 0.5000 0.5000 0.3406
U 0.5000 0.5000 0.6594
Te 0.0000 0.0000 0.5000
Te 0.5000 0.5000 0.0000
N 0.0000 0.5000 0.2500
N 0.0000 0.5000 0.7500
N 0.5000 0.0000 0.2500
N 0.5000 0.0000 0.7500

Computed properties:
- Energy of formation: -7.4 eV/f.u.